VASP calculation (PBE) on a relaxed KSrTbSbO6 crystal.

Values from the calculation:
Total energy: -6.37 eV per atom
Spin magnetization: 3.9 μB per cell
E_form: -2.6607 eV per atom

a b c (Å): 8.422 8.465 8.467
angles (deg): 90.00 90.00 90.00
Space group Pnnn (No. 48, origin choice 2)
One atom of each set of equivalent atoms:
K 0.250 0.250 0.250 (multiplicity 2)
K 0.250 0.750 0.750 (multiplicity 2)
Sr 0.250 0.250 0.750 (multiplicity 2)
Sr 0.250 0.750 0.250 (multiplicity 2)
Tb 0.000 0.000 0.000 (multiplicity 4)
Sb 0.000 0.000 0.500 (multiplicity 4)
O 0.005 0.007 0.736 (multiplicity 8)
O 0.005 0.736 0.018 (multiplicity 8)
O 0.236 0.005 0.495 (multiplicity 8)